No. 1
GGA+U KRb2CoF6, optimized geometry; space group = Fm-3m (225); crystal system = cubic; VASP energy = -4.45 eV/atom
1.0
-4.415 -4.415 0.000
-4.415 0.000 -4.415
0.000 -4.415 -4.415
Co F K Rb
1 6 1 2
direct
0.000 0.000 0.000
0.213 0.787 0.787
0.787 0.213 0.787
0.787 0.213 0.213
0.213 0.213 0.787
0.787 0.787 0.213
0.213 0.787 0.213
0.500 0.500 0.500
0.750 0.750 0.750
0.250 0.250 0.250

***

No. 2
GGA+U LiCoF3, optimized geometry; space group = P3 (143); crystal system = trigonal; VASP energy = -4.93 eV/atom
1.0
2.567 -4.446 0.000
2.567 4.446 0.000
0.000 0.000 7.547
Co F Li
3 9 3
direct
0.667 0.333 0.345
0.333 0.667 0.676
0.000 0.000 0.996
0.287 0.318 0.819
0.031 0.713 0.819
0.317 0.300 0.192
0.700 0.017 0.192
0.325 0.984 0.488
0.682 0.969 0.819
0.016 0.342 0.488
0.658 0.675 0.488
0.983 0.683 0.192
0.333 0.667 0.264
0.000 0.000 0.659
0.000 0.000 0.345

***

No. 3
GGA+U Li3CoF6, optimized geometry; space group = Fm-3m (225); crystal system = cubic; VASP energy = -4.59 eV/atom
1.0
-3.469 -3.889 1.253
0.919 -3.146 4.241
-3.058 0.445 4.379
Co F Li
1 6 3
direct
0.000 0.000 0.000
0.243 0.757 0.757
0.757 0.243 0.243
0.757 0.243 0.757
0.243 0.243 0.757
0.757 0.757 0.243
0.243 0.757 0.243
0.750 0.750 0.750
0.250 0.250 0.250
0.500 0.500 0.500

***

No. 4
GGA+U LiCoF2, optimized geometry; space group = R-3m (166); crystal system = trigonal; VASP energy = -4.64 eV/atom
1.0
5.565 -1.435 0.000
5.565 1.435 0.000
5.195 0.000 2.458
Li F Co
1 2 1
direct
0.500 0.500 0.500
0.237 0.237 0.237
0.763 0.763 0.763
0.000 0.000 0.000

***

No. 5
GGA+U LiCoF3, optimized geometry; space group = P1 (1); crystal system = triclinic; VASP energy = -4.93 eV/atom
1.0
-2.103 -4.238 -1.965
2.999 -0.297 4.138
-6.013 0.937 4.500
F Co Li
9 3 3
direct
0.322 0.983 0.490
0.660 0.679 0.489
0.319 0.306 0.190
0.018 0.340 0.490
0.989 0.691 0.190
0.681 0.956 0.816
0.036 0.718 0.818
0.278 0.307 0.816
0.703 0.022 0.190
0.667 0.336 0.345
0.996 0.000 0.995
0.330 0.664 0.678
0.998 0.994 0.658
0.004 0.005 0.345
0.337 0.671 0.263

***

No. 6
GGA+U NaLiCoPO4F, optimized geometry; space group = Pnma (62); crystal system = orthorhombic; VASP energy = -6.13 eV/atom
1.0
0.000 -6.352 0.000
-11.023 0.000 0.000
0.000 0.000 -11.457
Co Li F O P Na
8 8 8 32 8 8
direct
0.500 0.500 0.000
0.000 0.500 0.500
0.500 0.000 0.000
0.000 0.000 0.500
0.000 0.000 0.000
0.000 0.500 0.000
0.500 0.000 0.500
0.500 0.500 0.500
0.250 0.274 0.590
0.750 0.551 0.768
0.750 0.226 0.090
0.250 0.949 0.268
0.250 0.449 0.232
0.250 0.774 0.910
0.750 0.051 0.732
0.750 0.726 0.410
0.250 0.628 0.027
0.250 0.441 0.394
0.750 0.559 0.606
0.750 0.372 0.973
0.750 0.059 0.894
0.250 0.128 0.473
0.750 0.872 0.527
0.250 0.941 0.106
0.250 0.266 0.210
0.453 0.993 0.680
0.250 0.375 0.016
0.250 0.766 0.290
0.952 0.820 0.965
0.048 0.680 0.465
0.750 0.125 0.516
0.548 0.820 0.965
0.048 0.180 0.035
0.750 0.818 0.258
0.250 0.492 0.629
0.952 0.320 0.535
0.750 0.008 0.129
0.452 0.180 0.035
0.547 0.507 0.180
0.750 0.234 0.710
0.750 0.625 0.984
0.250 0.875 0.484
0.250 0.992 0.871
0.953 0.007 0.320
0.047 0.493 0.820
0.750 0.318 0.242
0.750 0.734 0.790
0.750 0.508 0.371
0.453 0.493 0.820
0.953 0.507 0.180
0.548 0.320 0.535
0.547 0.007 0.320
0.250 0.182 0.742
0.047 0.993 0.680
0.250 0.682 0.758
0.452 0.680 0.465
0.250 0.247 0.078
0.250 0.042 0.743
0.750 0.458 0.243
0.750 0.958 0.257
0.250 0.747 0.422
0.750 0.753 0.922
0.250 0.542 0.757
0.750 0.253 0.578
0.992 0.277 0.847
0.508 0.277 0.847
0.492 0.223 0.347
0.508 0.777 0.653
0.008 0.723 0.153
0.992 0.777 0.653
0.492 0.723 0.153
0.008 0.223 0.347

***

No. 7
GGA+U LiCo5O5F, optimized geometry; space group = P3m1 (156); crystal system = trigonal; VASP energy = -5.86 eV/atom
1.0
-1.517 -2.087 2.047
1.235 -1.095 -2.850
13.654 -2.992 7.068
Co O Li F
5 5 1 1
direct
0.333 0.667 0.331
0.667 0.333 0.165
0.667 0.333 0.499
0.667 0.333 0.830
0.333 0.667 0.665
0.667 0.333 0.629
0.667 0.333 0.295
0.333 0.667 0.796
0.333 0.667 0.462
0.333 0.667 0.126
0.333 0.667 0.007
0.667 0.333 0.959

***

No. 8
GGA+U Li5CoOF5, optimized geometry; maximum piezoelectric response = 0.96 C/m²; VASP energy = -5.03 eV/atom
1.0
0.000 5.543 0.001
-6.394 0.000 0.000
0.000 0.002 14.983
Li F Co O
20 20 4 4
direct
0.167 0.250 0.830
0.333 0.000 0.994
0.333 0.000 0.339
0.833 0.250 0.666
0.833 0.250 0.339
0.833 0.750 0.339
0.667 0.000 0.502
0.333 0.000 0.666
0.833 0.750 0.666
0.167 0.250 0.502
0.833 0.250 0.994
0.333 0.500 0.666
0.667 0.500 0.830
0.667 0.500 0.502
0.333 0.500 0.994
0.667 0.000 0.830
0.333 0.500 0.339
0.833 0.750 0.994
0.167 0.750 0.502
0.167 0.750 0.830
0.667 0.000 0.956
0.167 0.750 0.304
0.333 0.500 0.792
0.167 0.250 0.629
0.833 0.250 0.792
0.167 0.750 0.956
0.667 0.500 0.956
0.667 0.000 0.629
0.833 0.250 0.465
0.167 0.250 0.956
0.333 0.500 0.465
0.667 0.000 0.304
0.167 0.250 0.304
0.333 0.000 0.465
0.667 0.500 0.304
0.667 0.500 0.629
0.333 0.000 0.792
0.833 0.750 0.792
0.833 0.750 0.465
0.167 0.750 0.629
0.167 0.249 0.160
0.167 0.749 0.160
0.667 0.501 0.160
0.667 0.001 0.160
0.333 0.000 0.126
0.833 0.250 0.126
0.333 0.500 0.126
0.833 0.750 0.126

***

| no. | formation energy (eV/f.u.) | total energy after the MP2020 corrections (eV/f.u.) |
| --- | --- | --- |
| 1 | -27.2 | -48.889 |
| 2 | -12.9 | -27.695 |
| 3 | -26.0 | -50.275 |
| 4 | -8.3 | -21.117 |
| 5 | -12.9 | -27.698 |
| 6 | -22.5 | -59.985 |
| 7 | -18.3 | -82.448 |
| 8 | -33.8 | -64.945 |